A plane-wave DFT calculation with meta-GGA r2SCAN was carried out for crystalline Eu2ZnCd at its relaxed geometry. Values from VASP.

```
&SYSTEM
  ibrav = 0, nat = 4, ntyp = 3
/
ATOMIC_SPECIES
Eu 151.96 Eu.upf
Zn 65.41 Zn.upf
Cd 112.41 Cd.upf
CELL_PARAMETERS angstrom
-4.005 -2.373 2.791
-4.363 2.878 1.464
-4.788 -0.928 -2.382
ATOMIC_POSITIONS crystal
Eu 0.250 0.250 0.250
Zn 0.000 0.000 0.000
Eu 0.750 0.750 0.750
Cd 0.500 0.500 0.500
```

Properties
Its crystal system is cubic. Its spin magnetization is 14.3 μB per formula unit. For the energy relative to the elements, the calculation gives -299 meV per atom.